# 1
A relaxed structure of V3O7, computed with PBE+U.

## Properties
Excess energy over the best structure of this formula in the dataset (eV per atom): 0.074
Calculated volume (Å³/f.u.): 168.3
Space group: P31c

Cell: 10.9279 10.9279 9.7628 Å, 90.00 90.00 120.00°
Positions (direct):
V 0.3074 0.1165 0.2979
V 0.3145 0.1565 0.6483
V 0.3198 0.2004 0.9990
V 0.7996 0.1193 0.9990
V 0.8435 0.1580 0.6483
V 0.8835 0.1909 0.2979
V 0.1165 0.3074 0.7979
V 0.1565 0.3145 0.1483
V 0.8091 0.6926 0.2979
V 0.2004 0.3198 0.4990
V 0.8420 0.6855 0.6483
V 0.8807 0.6802 0.9990
V 0.1193 0.7996 0.4990
V 0.1580 0.8435 0.1483
V 0.1909 0.8835 0.7979
V 0.6926 0.8091 0.7979
V 0.6855 0.8420 0.1483
V 0.6802 0.8807 0.4990
O 0.2533 0.0760 0.8306
O 0.2879 0.0345 0.1120
O 0.2568 0.1739 0.4640
O 0.2878 0.2525 0.1923
O 0.4666 0.1569 0.3317
O 0.4826 0.2418 0.6480
O 0.7475 0.0353 0.1923
O 0.4775 0.3195 0.9580
O 0.6805 0.1580 0.9580
O 0.8261 0.0828 0.4640
O 0.7582 0.2409 0.6480
O 0.9240 0.1774 0.8306
O 0.8431 0.3096 0.3317
O 0.6904 0.5334 0.3317
O 0.9655 0.2534 0.1120
O 0.7591 0.5174 0.6480
O 0.0760 0.2533 0.3306
O 0.0345 0.2879 0.6120
O 0.8420 0.5225 0.9580
O 0.1739 0.2568 0.9640
O 0.7466 0.7121 0.1120
O 0.2525 0.2878 0.6923
O 0.8226 0.7467 0.8306
O 0.1569 0.4666 0.8317
O 0.9647 0.7122 0.1923
O 0.9172 0.7432 0.4640
O 0.2418 0.4826 0.1480
O 0.0353 0.7475 0.6923
O 0.3195 0.4775 0.4580
O 0.1580 0.6805 0.4580
O 0.0828 0.8261 0.9640
O 0.2409 0.7582 0.1480
O 0.1774 0.9240 0.3306
O 0.3096 0.8431 0.8317
O 0.5334 0.6904 0.8317
O 0.2534 0.9655 0.6120
O 0.5174 0.7591 0.1480
O 0.5225 0.8420 0.4580
O 0.7121 0.7466 0.6120
O 0.7467 0.8226 0.3306
O 0.7122 0.9647 0.6923
O 0.7432 0.9172 0.9640


# 2
A relaxed structure of Mg14ZnCoO16, computed with PBE+U.

## Properties
Excess energy over the best structure of this formula in the dataset (eV per atom): 0.018
Calculated volume (Å³/f.u.): 309.7
Space group: P4/mmm

Cell: 8.5409 8.5409 4.2459 Å, 90.00 90.00 90.00°
Positions (direct):
Mg 0.0000 0.5000 0.0000
Mg 0.5000 0.0000 0.0000
Mg 0.0000 0.2503 0.5000
Mg 0.0000 0.7497 0.5000
Mg 0.5000 0.2497 0.5000
Mg 0.5000 0.7503 0.5000
Mg 0.2503 0.0000 0.5000
Mg 0.2497 0.5000 0.5000
Mg 0.7497 0.0000 0.5000
Mg 0.7503 0.5000 0.5000
Mg 0.2505 0.2505 0.0000
Mg 0.2505 0.7495 0.0000
Mg 0.7495 0.2505 0.0000
Mg 0.7495 0.7495 0.0000
Zn 0.0000 0.0000 0.0000
Co 0.5000 0.5000 0.0000
O 0.2536 0.0000 0.0000
O 0.2471 0.5000 0.0000
O 0.7464 0.0000 0.0000
O 0.7529 0.5000 0.0000
O 0.2503 0.2503 0.5000
O 0.2503 0.7497 0.5000
O 0.7497 0.2503 0.5000
O 0.7497 0.7497 0.5000
O 0.0000 0.0000 0.5000
O 0.0000 0.5000 0.5000
O 0.5000 0.0000 0.5000
O 0.5000 0.5000 0.5000
O 0.0000 0.2536 0.0000
O 0.0000 0.7464 0.0000
O 0.5000 0.2471 0.0000
O 0.5000 0.7529 0.0000


# 3
A relaxed structure of Al4Ni3O12, computed with PBE+U.

## Properties
Excess energy over the best structure of this formula in the dataset (eV per atom): 0.000
Calculated volume (Å³/f.u.): 197.4
Space group: P-1

Cell: 5.7244 5.6294 17.3258 Å, 60.30 58.68 61.17°
Positions (direct):
Al 0.1194 0.0910 0.0550
Al 0.1298 0.1151 0.3678
Al 0.5032 0.4947 0.3333
Al 0.4968 0.5053 0.6667
Al 0.5061 0.4976 0.1511
Al 0.4939 0.5024 0.8489
Al 0.8702 0.8849 0.6322
Al 0.8806 0.9090 0.9450
Ni 0.5092 0.9904 0.1600
Ni 0.5000 0.0000 0.5000
Ni 0.4908 0.0096 0.8400
Ni 0.9946 0.5027 0.1610
Ni 0.0000 0.5000 0.5000
Ni 0.0054 0.4973 0.8390
O 0.2439 0.2262 0.0961
O 0.2601 0.2530 0.4074
O 0.2637 0.2499 0.7656
O 0.2506 0.7173 0.0918
O 0.2497 0.7336 0.4062
O 0.2873 0.6759 0.7660
O 0.2807 0.2351 0.2370
O 0.2499 0.2601 0.5626
O 0.2700 0.2343 0.9235
O 0.7425 0.2385 0.0866
O 0.7472 0.2428 0.4010
O 0.6778 0.2863 0.7630
O 0.3222 0.7137 0.2370
O 0.2528 0.7572 0.5990
O 0.2575 0.7615 0.9134
O 0.7127 0.3241 0.2340
O 0.7503 0.2664 0.5938
O 0.7494 0.2827 0.9082
O 0.7300 0.7657 0.0765
O 0.7501 0.7399 0.4374
O 0.7193 0.7649 0.7630
O 0.7363 0.7501 0.2344
O 0.7399 0.7470 0.5926
O 0.7561 0.7738 0.9039


# 4
A relaxed structure of VPO5, computed with PBE+U.

## Properties
Excess energy over the best structure of this formula in the dataset (eV per atom): 0.052
Calculated volume (Å³/f.u.): 84.6
Space group: C2/c

Cell: 5.1981 5.1981 7.0653 Å, 71.91 71.91 94.59°
Positions (direct):
V 0.0000 0.0000 0.5000
V 0.0000 0.0000 0.0000
P 0.6429 0.3571 0.2500
P 0.3571 0.6429 0.7500
O 0.7301 0.2109 0.0850
O 0.2109 0.7301 0.5850
O 0.6708 0.7179 0.6337
O 0.7179 0.6708 0.1337
O 0.2699 0.7891 0.9150
O 0.7891 0.2699 0.4150
O 0.3292 0.2821 0.3663
O 0.2821 0.3292 0.8663
O 0.9419 0.0581 0.7500
O 0.0581 0.9419 0.2500


# 5
A relaxed structure of FeRePb2O6, computed with PBE+U.

## Properties
Calculated volume (Å³/f.u.): 130.1
Space group: I4mm

Cell: 5.6856 5.6856 5.6856 Å, 119.93 119.93 90.12°
Positions (direct):
Fe 0.5072 0.5072 0.0000
Re 0.0045 0.0045 0.0000
Pb 0.7693 0.2693 0.5000
Pb 0.2693 0.7693 0.5000
O 0.2437 0.7543 0.0000
O 0.7543 0.2437 0.0000
O 0.2437 0.2437 0.4893
O 0.7543 0.7543 0.5107
O 0.7586 0.7586 0.0000
O 0.2473 0.2473 0.0000


# 6
A relaxed structure of Li9Mn2Co5O16, computed with PBE+U.

## Properties
Excess energy over the best structure of this formula in the dataset (eV per atom): 0.079
Calculated volume (Å³/f.u.): 290.4
Space group: P1

Cell: 3.0039 5.0079 19.3954 Å, 94.32 92.84 91.81°
Positions (direct):
Li 0.0671 0.6993 0.1326
Li 0.6768 0.5613 0.3707
Li 0.3102 0.4390 0.6248
Li 0.9321 0.3130 0.8731
Li 0.5752 0.1881 0.1325
Li 0.1924 0.0511 0.3716
Li 0.8132 0.9361 0.6235
Li 0.4330 0.8138 0.8717
Li 0.6252 0.8758 0.2509
Mn 0.0022 0.0013 0.0012
Mn 0.5021 0.5006 0.0011
Co 0.2485 0.7485 0.4986
Co 0.8732 0.6250 0.7492
Co 0.1253 0.3749 0.2507
Co 0.7486 0.2493 0.4990
Co 0.3743 0.1250 0.7489
O 0.5704 0.8347 0.0608
O 0.1568 0.6778 0.3061
O 0.7662 0.5882 0.5573
O 0.4390 0.4612 0.8065
O 0.0684 0.3368 0.0586
O 0.6384 0.2357 0.3042
O 0.2727 0.0859 0.5572
O 0.8937 0.9569 0.8059
O 0.6115 0.5155 0.1969
O 0.2285 0.4088 0.4423
O 0.8559 0.2929 0.6930
O 0.4314 0.1664 0.9412
O 0.0938 0.0717 0.1952
O 0.7305 0.9110 0.4401
O 0.3088 0.7878 0.6925
O 0.9346 0.6668 0.9420


Energy of formation from the pure elements values, unit eV per atom, following the record order: -2.26, -2.83, -2.04, -2.45, -1.67, -1.79.
MP2020-corrected energy values, unit eV/atom, following the record order: -8.453, -6.265, -6.864, -8.053, -7.475, -6.480.